First-principles (GGA-PBE) data for crystalline Na3P6Pb2O18 at its relaxed geometry, as listed in the Materials Project.

Computed properties:
Energy with MP2020 corrections in eV/atom: -7.062
Energy relative to the lowest polymorph listed for this composition in meV/atom: 0.0
Energy of formation in eV/atom: -2.478

Cell lengths 7.7912, 7.8086, 8.3641 Å; angles 117.63, 102.82, 96.00 degrees
With the nearest neighbours (Å) after each atom.
Space group P-1 (No. 2)
Asymmetric unit:
Na (0.0000, 0.0000, 0.0000) [1 per cell]  6 O 2.42-2.70
Na (0.3277, 0.1514, 0.4690) [2 per cell]  5 O 2.37-2.57
P (0.0118, 0.7219, 0.2759) [2 per cell]  4 O 1.50-1.63
P (0.2588, 0.8396, 0.6493) [2 per cell]  4 O 1.49-1.64
P (0.2653, 0.4850, 0.3135) [2 per cell]  4 O 1.49-1.63
Pb (0.3964, 0.6841, 0.0320) [2 per cell]  3 O 2.48-2.68
O (0.0679, 0.8217, 0.5061) [2 per cell]  2 P 1.63-1.64
O (0.0741, 0.5126, 0.2144) [2 per cell]  2 P 1.62-1.63
O (0.1198, 0.8478, 0.2236) [2 per cell]  1 P 1.50
O (0.1919, 0.3326, 0.7949) [2 per cell]  1 P 1.50
O (0.2292, 0.8757, 0.8311) [2 per cell]  1 P 1.49
O (0.2446, 0.2715, 0.2573) [2 per cell]  1 P 1.49
O (0.2825, 0.6116, 0.5374) [2 per cell]  2 P 1.63-1.64
O (0.4101, 0.9786, 0.6499) [2 per cell]  1 P 1.51
O (0.4172, 0.5884, 0.2790) [2 per cell]  1 P 1.52